# 1
DFT (PBE) results for a geometry-optimized Ba2Sc2O5 structure.

Calculated values
Symmetry = C2/c, No. 15

abc: 6.308 6.308 8.427
angles: 89.10 89.10 86.40
Atoms (fractional coordinates):
O 0.738 0.033 0.588
O 0.500 0.500 0.500
O 0.222 0.778 0.750
O 0.967 0.262 0.912
O 0.778 0.222 0.250
O 0.500 0.500 0.000
O 0.033 0.738 0.088
O 0.000 0.500 0.500
O 0.500 0.000 0.000
O 0.262 0.967 0.412
Sc 0.243 0.699 0.522
Sc 0.699 0.243 0.022
Sc 0.301 0.757 0.978
Sc 0.757 0.301 0.478
Ba 0.804 0.734 0.806
Ba 0.734 0.804 0.306
Ba 0.196 0.266 0.194
Ba 0.266 0.196 0.694

# 2
DFT (PBE) results for a geometry-optimized Ti2Zn3O7 structure.

Calculated values
Symmetry = Cmc2_1, No. 36

abc: 9.547 9.547 5.250
angles: 90.00 90.00 148.05
Atoms (fractional coordinates):
Ti 0.150 0.357 0.248
Ti 0.357 0.150 0.248
Ti 0.850 0.643 0.748
Ti 0.643 0.850 0.748
Zn 0.581 0.976 0.201
Zn 0.024 0.419 0.701
Zn 0.743 0.743 0.282
Zn 0.257 0.257 0.782
Zn 0.976 0.581 0.201
Zn 0.419 0.024 0.701
O 0.997 0.155 0.571
O 0.059 0.649 0.809
O 0.637 0.637 0.687
O 0.552 0.296 0.927
O 0.155 0.997 0.571
O 0.704 0.448 0.427
O 0.363 0.363 0.187
O 0.448 0.704 0.427
O 0.003 0.845 0.071
O 0.845 0.003 0.071
O 0.941 0.351 0.309
O 0.649 0.059 0.809
O 0.296 0.552 0.927
O 0.351 0.941 0.309

# 3
DFT (PBE) results for a geometry-optimized PrGePd structure.

Calculated values
Symmetry = C2/m, No. 12

abc: 5.749 5.749 7.488
angles: 51.26 51.26 46.39
Atoms (fractional coordinates):
Pd 0.817 0.817 0.726
Pd 0.183 0.183 0.274
Pr 0.537 0.537 0.702
Pr 0.463 0.463 0.298
Ge 0.840 0.840 0.109
Ge 0.160 0.160 0.891

# 4
DFT (PBE) results for a geometry-optimized SrAl9Ni2 structure.

Calculated values
Symmetry = P6/mmm, No. 191

abc: 3.955 7.964 7.964
angles: 120.00 90.00 90.00
Atoms (fractional coordinates):
Al 0.500 0.213 0.426
Al 0.500 0.787 0.213
Al 0.000 0.500 0.500
Al 0.500 0.787 0.574
Al 0.500 0.574 0.787
Al 0.000 0.500 0.000
Al 0.500 0.426 0.213
Al 0.000 0.000 0.500
Al 0.500 0.213 0.787
Ni 0.000 0.667 0.333
Ni 0.000 0.333 0.667
Sr 0.000 0.000 0.000

| no. | DFT total energy (eV per atom) | E_form (kJ/mol of formula units) | M_tot (μB per formula unit) |
| --- | --- | --- | --- |
| 1 | -7.618 | -2967 | 0.0 |
| 2 | -6.674 | -2961 | 0.0 |
| 3 | -5.705 | -244 | 0.0 |
| 4 | -4.264 | -406 | 0.0 |